DFT (GGA-PBE) results for a relaxed PrHfF7 crystal.

Unit cell a=6.3055 b=5.8510 c=8.4866 alpha=90.00 beta=101.47 gamma=90.00
Fractional positions:
Pr 0.1581 0.0000 0.1883
Pr 0.8419 0.5000 0.8117
Hf 0.3117 0.9912 0.7244
Hf 0.6883 0.4912 0.2756
F 0.0536 0.3180 0.0270
F 0.0548 0.1985 0.7137
F 0.1272 0.7073 0.7165
F 0.2584 0.9946 0.4836
F 0.3580 0.9869 0.9656
F 0.4338 0.2815 0.2689
F 0.4745 0.7513 0.2620
F 0.5255 0.2513 0.7380
F 0.5662 0.7815 0.7311
F 0.6420 0.4869 0.0344
F 0.7416 0.4946 0.5164
F 0.8728 0.2073 0.2835
F 0.9452 0.6985 0.2863
F 0.9464 0.8180 0.9730

## Properties
E   -7.07 eV per atom